## PrHfO4 (GGA-PBE)

Data for a geometry-optimized PrHfO4 structure.

Calculated values
energy relative to the elements = -3503 meV/atom
E = -422.42 eV/cell

```
data_PrHfO4
_space_group_name_H-M_alt 'P 43'
_space_group_IT_number 78
_cell_length_a 7.680
_cell_length_b 7.680
_cell_length_c 10.738
_cell_angle_alpha 90.00
_cell_angle_beta 90.00
_cell_angle_gamma 90.00
loop_
_space_group_symop_operation_xyz
'x,y,z'
'-y,x,z+3/4'
'-x,-y,z+1/2'
'y,-x,z+1/4'
loop_
_atom_site_label
_atom_site_type_symbol
_atom_site_fract_x
_atom_site_fract_y
_atom_site_fract_z
_atom_site_occupancy
Pr1 Pr 0.001 0.249 0.000 1
Pr2 Pr 0.251 0.499 0.252 1
Hf1 Hf 0.005 0.238 0.502 1
Hf2 Hf 0.261 0.498 0.752 1
O1 O 0.016 0.974 0.876 1
O2 O 0.031 0.470 0.624 1
O3 O 0.049 0.550 0.876 1
O4 O 0.224 0.273 0.634 1
O5 O 0.245 0.245 0.844 1
O6 O 0.249 0.748 0.376 1
O7 O 0.255 0.256 0.412 1
O8 O 0.473 0.519 0.875 1
```